Entry 1:
The following is a PBE+U calculation of an optimized crystal structure of SrCa7Mn8O23, from the Materials Project.

Cell lengths 10.756, 10.904, 15.289 Å; angles 90.05, 90.09, 90.25 degrees
Positions (direct):
Sr 0.000 0.000 0.000
Sr 0.005 0.012 0.735
Sr 0.249 0.777 0.739
Sr 0.745 0.256 0.997
Ca 0.001 0.542 0.737
Ca 0.002 0.535 0.241
Ca 0.003 0.035 0.243
Ca 0.243 0.785 0.242
Ca 0.244 0.287 0.241
Ca 0.251 0.738 0.994
Ca 0.252 0.736 0.489
Ca 0.256 0.290 0.746
Ca 0.260 0.241 0.998
Ca 0.262 0.243 0.482
Ca 0.488 0.987 0.996
Ca 0.493 0.037 0.737
Ca 0.493 0.490 0.994
Ca 0.493 0.491 0.489
Ca 0.496 0.990 0.489
Ca 0.502 0.535 0.242
Ca 0.503 0.036 0.242
Ca 0.503 0.537 0.740
Ca 0.722 0.296 0.738
Ca 0.736 0.781 0.733
Ca 0.742 0.285 0.242
Ca 0.742 0.785 0.243
Ca 0.745 0.242 0.487
Ca 0.747 0.731 0.000
Ca 0.753 0.739 0.489
Ca 0.991 0.987 0.488
Ca 0.993 0.498 0.484
Ca 0.994 0.501 0.999
Mn 0.005 0.754 0.868
Mn 0.015 0.283 0.874
Mn 0.247 0.013 0.366
Mn 0.248 0.509 0.615
Mn 0.248 0.513 0.117
Mn 0.248 0.513 0.365
Mn 0.249 0.013 0.867
Mn 0.250 0.012 0.119
Mn 0.253 0.514 0.866
Mn 0.256 0.002 0.609
Mn 0.493 0.266 0.867
Mn 0.496 0.263 0.119
Mn 0.496 0.264 0.614
Mn 0.497 0.759 0.867
Mn 0.497 0.762 0.117
Mn 0.497 0.763 0.366
Mn 0.499 0.263 0.365
Mn 0.500 0.760 0.613
Mn 0.716 0.019 0.863
Mn 0.744 0.515 0.615
Mn 0.746 0.014 0.617
Mn 0.747 0.513 0.366
Mn 0.747 0.515 0.865
Mn 0.748 0.012 0.120
Mn 0.748 0.012 0.366
Mn 0.748 0.513 0.120
Mn 0.987 0.274 0.601
Mn 0.996 0.761 0.612
Mn 0.997 0.763 0.118
Mn 0.997 0.763 0.365
Mn 0.999 0.262 0.365
Mn 0.999 0.264 0.122
O 0.029 0.262 0.995
O 0.029 0.771 0.993
O 0.036 0.770 0.490
O 0.048 0.271 0.488
O 0.096 0.907 0.856
O 0.100 0.909 0.347
O 0.101 0.410 0.345
O 0.101 0.909 0.137
O 0.102 0.386 0.646
O 0.102 0.409 0.137
O 0.106 0.414 0.836
O 0.107 0.903 0.626
O 0.121 0.159 0.838
O 0.136 0.648 0.634
O 0.144 0.157 0.137
O 0.144 0.658 0.346
O 0.144 0.659 0.136
O 0.145 0.159 0.344
O 0.147 0.649 0.849
O 0.206 0.031 0.491
O 0.207 0.519 0.491
O 0.209 0.518 0.992
O 0.220 0.028 0.992
O 0.272 0.019 0.736
O 0.287 0.503 0.241
O 0.288 0.001 0.242
O 0.290 0.505 0.740
O 0.346 0.362 0.597
O 0.347 0.361 0.884
O 0.350 0.369 0.099
O 0.350 0.868 0.388
O 0.351 0.867 0.886
O 0.352 0.867 0.096
O 0.354 0.370 0.384
O 0.360 0.861 0.593
O 0.389 0.120 0.594
O 0.393 0.617 0.096
O 0.393 0.618 0.387
O 0.394 0.117 0.098
O 0.394 0.118 0.387
O 0.394 0.614 0.595
O 0.395 0.613 0.887
O 0.396 0.115 0.883
O 0.458 0.252 0.242
O 0.458 0.751 0.241
O 0.464 0.253 0.741
O 0.470 0.750 0.740
O 0.522 0.273 0.992
O 0.534 0.274 0.491
O 0.536 0.772 0.992
O 0.540 0.773 0.490
O 0.598 0.410 0.637
O 0.599 0.899 0.845
O 0.599 0.910 0.135
O 0.600 0.909 0.346
O 0.601 0.410 0.846
O 0.602 0.408 0.345
O 0.603 0.407 0.136
O 0.604 0.909 0.638
O 0.641 0.157 0.136
O 0.642 0.158 0.637
O 0.644 0.159 0.347
O 0.644 0.657 0.633
O 0.644 0.658 0.346
O 0.645 0.170 0.847
O 0.645 0.659 0.135
O 0.649 0.660 0.848
O 0.708 0.522 0.491
O 0.712 0.026 0.493
O 0.712 0.513 0.991
O 0.737 0.013 0.982
O 0.785 0.003 0.752
O 0.786 0.000 0.242
O 0.786 0.506 0.740
O 0.787 0.503 0.243
O 0.841 0.368 0.601
O 0.850 0.865 0.098
O 0.852 0.867 0.387
O 0.853 0.368 0.390
O 0.853 0.869 0.597
O 0.857 0.355 0.869
O 0.859 0.376 0.101
O 0.888 0.123 0.104
O 0.889 0.622 0.890
O 0.892 0.619 0.097
O 0.893 0.618 0.386
O 0.894 0.119 0.388
O 0.894 0.615 0.596
O 0.905 0.122 0.607
O 0.957 0.253 0.245
O 0.957 0.751 0.242
O 0.958 0.762 0.743

## Properties
As for the crystal system: triclinic. The value obtained for the total magnetic moment is 0.67 μB/atom. The density comes out at 4.4 g/cm3. As for the formation energy: -2.4908 eV per atom. As for the energy above the most stable polymorph in this dataset: 0 meV/atom. Its symmetry is P1, No. 1.

Entry 2:
The following is a PBE+U calculation of an optimized crystal structure of MgAlTlMo2O8, from the Materials Project.

Cell lengths 5.565, 5.565, 6.991 Å; angles 90.00, 90.00, 120.00 degrees
Positions (direct):
Mg 0.000 0.000 0.000
Al 0.667 0.333 0.845
Tl 0.667 0.333 0.312
Mo 0.000 0.000 0.556
Mo 0.333 0.667 0.134
O 0.000 0.000 0.289
O 0.333 0.667 0.392
O 0.334 0.167 0.670
O 0.509 0.017 0.988
O 0.509 0.491 0.988
O 0.833 0.167 0.670
O 0.833 0.666 0.670
O 0.983 0.491 0.988

## Properties
As for the crystal system: trigonal. The value obtained for the total magnetic moment is 0.15 μB/atom. The density comes out at 5.1 g/cm3. As for the formation energy: -1.9636 eV per atom. As for the energy above the most stable polymorph in this dataset: 12 meV/atom. Its symmetry is P3m1, No. 156.

Entry 3:
The following is a PBE+U calculation of an optimized crystal structure of Li24Mn7Cr5O36, from the Materials Project.

Cell lengths 5.035, 9.747, 13.241 Å; angles 97.02, 100.69, 95.16 degrees
Positions (direct):
Li 0.000 0.000 0.000
Li 0.000 0.500 0.500
Li 0.110 0.000 0.220
Li 0.110 0.500 0.720
Li 0.161 0.750 0.082
Li 0.163 0.250 0.581
Li 0.207 0.998 0.446
Li 0.211 0.499 0.945
Li 0.333 0.000 0.666
Li 0.335 0.499 0.166
Li 0.446 0.500 0.386
Li 0.450 0.001 0.887
Li 0.497 0.249 0.248
Li 0.497 0.749 0.749
Li 0.549 0.000 0.112
Li 0.549 0.499 0.612
Li 0.669 0.499 0.834
Li 0.669 0.999 0.334
Li 0.780 0.498 0.052
Li 0.784 0.000 0.553
Li 0.830 0.250 0.916
Li 0.832 0.749 0.416
Li 0.877 0.998 0.779
Li 0.880 0.500 0.280
Mn 0.052 0.748 0.860
Mn 0.053 0.249 0.361
Mn 0.388 0.250 0.027
Mn 0.720 0.250 0.694
Mn 0.721 0.751 0.194
Mn 0.941 0.750 0.638
Mn 0.942 0.250 0.139
Cr 0.271 0.249 0.803
Cr 0.271 0.749 0.303
Cr 0.388 0.750 0.528
Cr 0.602 0.750 0.971
Cr 0.605 0.249 0.470
O 0.021 0.139 0.691
O 0.022 0.639 0.190
O 0.093 0.865 0.549
O 0.096 0.363 0.048
O 0.165 0.361 0.261
O 0.166 0.861 0.762
O 0.167 0.637 0.403
O 0.169 0.138 0.904
O 0.233 0.136 0.119
O 0.236 0.637 0.618
O 0.303 0.362 0.475
O 0.307 0.861 0.975
O 0.350 0.638 0.856
O 0.354 0.138 0.357
O 0.430 0.363 0.716
O 0.430 0.863 0.216
O 0.497 0.362 0.929
O 0.497 0.862 0.429
O 0.500 0.138 0.571
O 0.503 0.638 0.070
O 0.572 0.134 0.784
O 0.572 0.634 0.284
O 0.643 0.361 0.143
O 0.644 0.862 0.643
O 0.687 0.138 0.023
O 0.689 0.637 0.524
O 0.763 0.363 0.383
O 0.764 0.863 0.883
O 0.828 0.638 0.737
O 0.829 0.138 0.238
O 0.831 0.361 0.595
O 0.834 0.863 0.097
O 0.903 0.635 0.951
O 0.905 0.134 0.451
O 0.969 0.362 0.808
O 0.969 0.862 0.309

## Properties
As for the crystal system: triclinic. The value obtained for the total magnetic moment is 0.43 μB/atom. The density comes out at 3.7 g/cm3. As for the formation energy: -2.2006 eV per atom. As for the energy above the most stable polymorph in this dataset: 1 meV/atom. Its symmetry is P1, No. 1.

Entry 4:
The following is a PBE+U calculation of an optimized crystal structure of V4Cu9Cl2O18, from the Materials Project.

Cell lengths 6.510, 8.380, 9.299 Å; angles 104.94, 96.06, 107.78 degrees
Positions (direct):
V 0.110 0.083 0.350
V 0.324 0.750 0.851
V 0.676 0.250 0.149
V 0.890 0.917 0.650
Cu 0.000 0.500 0.000
Cu 0.000 0.500 0.500
Cu 0.141 0.218 0.030
Cu 0.169 0.332 0.688
Cu 0.418 0.046 0.642
Cu 0.500 0.500 0.000
Cu 0.582 0.954 0.358
Cu 0.831 0.668 0.312
Cu 0.859 0.782 0.970
Cl 0.348 0.630 0.277
Cl 0.652 0.370 0.723
O 0.090 0.281 0.464
O 0.108 0.084 0.166
O 0.122 0.726 0.968
O 0.139 0.092 0.659
O 0.191 0.390 0.906
O 0.213 0.569 0.683
O 0.340 0.036 0.419
O 0.391 0.939 0.807
O 0.451 0.282 0.050
O 0.549 0.718 0.950
O 0.609 0.061 0.193
O 0.660 0.964 0.581
O 0.787 0.431 0.317
O 0.809 0.610 0.094
O 0.861 0.908 0.341
O 0.878 0.274 0.032
O 0.892 0.916 0.834
O 0.910 0.719 0.536

## Properties
As for the crystal system: triclinic. The value obtained for the total magnetic moment is 0.01 μB/atom. The density comes out at 4.1 g/cm3. As for the formation energy: -1.4696 eV per atom. Its symmetry is P-1, No. 2.

Entry 5:
The following is a PBE+U calculation of an optimized crystal structure of CsFeSe2O8, from the Materials Project.

Cell lengths 5.234, 5.234, 9.187 Å; angles 90.00, 90.00, 120.00 degrees
Positions (direct):
Cs 0.000 0.000 0.000
Fe 0.000 0.000 0.500
Se 0.333 0.667 0.699
Se 0.667 0.333 0.301
O 0.074 0.332 0.640
O 0.259 0.926 0.640
O 0.332 0.074 0.360
O 0.333 0.667 0.878
O 0.667 0.333 0.122
O 0.668 0.741 0.640
O 0.741 0.668 0.360
O 0.926 0.259 0.360

## Properties
As for the crystal system: trigonal. The value obtained for the total magnetic moment is 0.42 μB/atom. The density comes out at 3.6 g/cm3. As for the formation energy: -1.4314 eV per atom. Its symmetry is P321, No. 150.

Entry 6:
The following is a PBE+U calculation of an optimized crystal structure of Li2Mn3P5O18, from the Materials Project.

Cell lengths 12.753, 12.753, 12.581 Å; angles 92.26, 92.26, 22.01 degrees
Positions (direct):
Li 0.011 0.301 0.365
Li 0.301 0.011 0.865
Li 0.699 0.989 0.135
Li 0.989 0.699 0.635
Mn 0.000 0.000 0.000
Mn 0.000 0.000 0.500
Mn 0.274 0.330 0.380
Mn 0.330 0.274 0.880
Mn 0.670 0.726 0.120
Mn 0.726 0.670 0.620
P 0.207 0.343 0.128
P 0.235 0.765 0.250
P 0.343 0.207 0.628
P 0.430 0.433 0.412
P 0.433 0.430 0.912
P 0.567 0.570 0.088
P 0.570 0.567 0.588
P 0.657 0.793 0.372
P 0.765 0.235 0.750
P 0.793 0.657 0.872
O 0.052 0.886 0.164
O 0.114 0.948 0.336
O 0.117 0.336 0.874
O 0.132 0.738 0.940
O 0.180 0.255 0.624
O 0.255 0.180 0.124
O 0.262 0.868 0.560
O 0.265 0.351 0.726
O 0.270 0.349 0.536
O 0.273 0.477 0.381
O 0.277 0.635 0.503
O 0.336 0.117 0.374
O 0.349 0.270 0.036
O 0.351 0.265 0.226
O 0.365 0.723 0.997
O 0.421 0.503 0.305
O 0.477 0.273 0.881
O 0.497 0.579 0.195
O 0.503 0.421 0.805
O 0.523 0.727 0.119
O 0.579 0.497 0.695
O 0.635 0.277 0.003
O 0.649 0.735 0.774
O 0.651 0.730 0.964
O 0.664 0.883 0.626
O 0.723 0.365 0.497
O 0.727 0.523 0.619
O 0.730 0.651 0.464
O 0.735 0.649 0.274
O 0.738 0.132 0.440
O 0.745 0.820 0.876
O 0.820 0.745 0.376
O 0.868 0.262 0.060
O 0.883 0.664 0.126
O 0.886 0.052 0.664
O 0.948 0.114 0.836

## Properties
As for the crystal system: monoclinic. The value obtained for the total magnetic moment is 0.43 μB/atom. The density comes out at 2.7 g/cm3. As for the formation energy: -2.4865 eV per atom. Its symmetry is C2/c, No. 15.

Entry 7:
The following is a PBE+U calculation of an optimized crystal structure of MgMo2HO6, from the Materials Project.

Cell lengths 3.870, 4.052, 7.993 Å; angles 89.74, 78.13, 89.85 degrees
Positions (direct):
Mg 0.000 0.000 0.000
Mo 0.240 0.497 0.627
Mo 0.373 0.001 0.311
H 0.345 0.495 0.943
O 0.116 0.503 0.906
O 0.258 0.996 0.581
O 0.353 0.495 0.360
O 0.482 0.008 0.054
O 0.734 0.494 0.641
O 0.883 0.989 0.289

## Properties
As for the crystal system: triclinic. The value obtained for the total magnetic moment is 0.30 μB/atom. The density comes out at 4.2 g/cm3. As for the formation energy: -2.0015 eV per atom. As for the energy above the most stable polymorph in this dataset: 26 meV/atom. Its symmetry is P1, No. 1.

Entry 8:
The following is a PBE+U calculation of an optimized crystal structure of MgVP2O7, from the Materials Project.

Cell lengths 7.107, 8.552, 9.182 Å; angles 90.00, 113.23, 90.00 degrees
Positions (direct):
Mg 0.198 0.059 0.318
Mg 0.198 0.441 0.818
Mg 0.802 0.559 0.182
Mg 0.802 0.941 0.682
V 0.263 0.074 0.890
V 0.263 0.426 0.390
V 0.737 0.574 0.610
V 0.737 0.926 0.110
P 0.032 0.724 0.969
P 0.032 0.776 0.469
P 0.439 0.734 0.257
P 0.439 0.766 0.757
P 0.561 0.234 0.243
P 0.561 0.266 0.743
P 0.968 0.224 0.531
P 0.968 0.276 0.031
O 0.010 0.091 0.653
O 0.010 0.409 0.153
O 0.044 0.615 0.397
O 0.044 0.885 0.897
O 0.121 0.226 0.451
O 0.121 0.274 0.951
O 0.249 0.675 0.100
O 0.249 0.825 0.600
O 0.382 0.238 0.298
O 0.382 0.262 0.798
O 0.386 0.611 0.810
O 0.386 0.889 0.310
O 0.474 0.601 0.378
O 0.474 0.899 0.878
O 0.526 0.101 0.122
O 0.526 0.399 0.622
O 0.614 0.111 0.690
O 0.614 0.389 0.190
O 0.618 0.738 0.202
O 0.618 0.762 0.702
O 0.751 0.175 0.400
O 0.751 0.325 0.900
O 0.879 0.726 0.049
O 0.879 0.774 0.549
O 0.956 0.115 0.103
O 0.956 0.385 0.603
O 0.990 0.591 0.847
O 0.990 0.909 0.347

## Properties
As for the crystal system: monoclinic. The value obtained for the total magnetic moment is 0.27 μB/atom. The density comes out at 3.2 g/cm3. As for the formation energy: -2.7902 eV per atom. As for the energy above the most stable polymorph in this dataset: 0 meV/atom. Its symmetry is P2_1/c, No. 14.